Entry from the Materials Project: an optimized crystal structure of RbI3 (PBE-GGA).

Computed properties:
- ΔE_f: -1.0741 eV/atom
- Calculated density: 3.97 g/cm³
- Volume: 48.73 A^3/atom
- Symmetry: Pnma, No. 62
- Energy: -2.18 eV per atom

a b c (Å): 11.020 6.995 10.116
angles (deg): 90.00 90.00 90.00
Atoms (fractional coordinates):
Rb1 0.172 0.250 0.027
Rb2 0.328 0.750 0.527
Rb3 0.672 0.250 0.473
Rb4 0.828 0.750 0.973
I1 0.072 0.750 0.266
I2 0.129 0.250 0.549
I3 0.162 0.750 0.856
I4 0.338 0.250 0.356
I5 0.371 0.750 0.049
I6 0.428 0.250 0.766
I7 0.572 0.750 0.234
I8 0.629 0.250 0.951
I9 0.662 0.750 0.644
I10 0.838 0.250 0.144
I11 0.871 0.750 0.451
I12 0.928 0.250 0.734